(1)
Here is crystalline Ti4O7 at its relaxed geometry from the Materials Project. Energies are from PBE.

```
Ti4O7
1.0
5.911 0.000 0.000
-2.767 6.910 0.000
-0.492 -1.814 12.089
Ti O
16 28
Direct
0.215 0.646 0.575
0.038 0.318 0.774
0.229 0.594 0.065
0.356 0.551 0.306
0.203 0.170 0.546
0.293 0.021 0.832
0.227 0.138 0.072
0.636 0.928 0.698
0.364 0.072 0.302
0.773 0.862 0.928
0.707 0.979 0.168
0.797 0.830 0.454
0.644 0.449 0.694
0.771 0.406 0.935
0.962 0.682 0.226
0.785 0.354 0.425
0.005 0.511 0.695
0.127 0.897 0.963
0.131 0.454 0.916
0.304 0.911 0.660
0.098 0.355 0.498
0.319 0.777 0.222
0.043 0.982 0.194
0.501 0.878 0.848
0.422 0.709 0.452
0.304 0.276 0.710
0.134 0.975 0.410
0.531 0.648 0.660
0.275 0.407 0.140
0.428 0.235 0.949
0.572 0.765 0.051
0.725 0.593 0.860
0.469 0.352 0.340
0.866 0.025 0.590
0.696 0.724 0.290
0.578 0.291 0.548
0.499 0.122 0.152
0.957 0.018 0.806
0.681 0.223 0.778
0.902 0.645 0.502
0.696 0.089 0.340
0.869 0.546 0.084
0.873 0.103 0.037
0.995 0.489 0.305
```

* spin magnetization: 3.995 μB per cell
* formation enthalpy at 0 K: -3.32 eV per atom

=====

(2)
Here is crystalline Sr2CeBiO6 at its relaxed geometry from the Materials Project. Energies are from PBE.

```
Sr2CeBiO6
1.0
8.709 0.000 0.000
0.000 8.709 0.000
0.000 0.000 8.709
Sr Ce Bi O
8 4 4 24
Direct
0.500 0.500 0.500
0.000 0.000 0.000
0.000 0.000 0.500
0.000 0.500 0.000
0.500 0.000 0.000
0.500 0.500 0.000
0.500 0.000 0.500
0.000 0.500 0.500
0.250 0.250 0.250
0.250 0.750 0.750
0.750 0.250 0.750
0.750 0.750 0.250
0.750 0.750 0.750
0.750 0.250 0.250
0.250 0.750 0.250
0.250 0.250 0.750
0.211 0.300 0.499
0.211 0.700 0.501
0.789 0.300 0.501
0.789 0.700 0.499
0.300 0.499 0.211
0.700 0.501 0.211
0.300 0.501 0.789
0.700 0.499 0.789
0.499 0.211 0.300
0.501 0.211 0.700
0.501 0.789 0.300
0.499 0.789 0.700
0.289 0.200 0.001
0.289 0.800 0.999
0.711 0.200 0.999
0.711 0.800 0.001
0.200 0.001 0.289
0.800 0.999 0.289
0.200 0.999 0.711
0.800 0.001 0.711
0.001 0.289 0.200
0.999 0.289 0.800
0.999 0.711 0.200
0.001 0.711 0.800
```

* spin magnetization: 0.000 μB per cell
* formation enthalpy at 0 K: -2.88 eV per atom

=====

(3)
Here is crystalline Zr2Ni2Sn at its relaxed geometry from the Materials Project. Energies are from PBE.

```
Zr2Ni2Sn
1.0
-5.115 -4.610 -1.858
4.110 -5.423 2.139
-1.346 0.223 3.152
Zr Ni Sn
4 4 2
Direct
0.831 0.669 0.500
0.331 0.831 0.500
0.669 0.169 0.500
0.169 0.331 0.500
0.125 0.625 0.000
0.625 0.875 0.000
0.875 0.375 0.000
0.375 0.125 0.000
0.500 0.500 0.000
0.000 0.000 0.000
```

* spin magnetization: 0.002 μB per cell
* formation enthalpy at 0 K: -0.57 eV per atom

=====

(4)
Here is crystalline ErAlB4 at its relaxed geometry from the Materials Project. Energies are from PBE.

```
ErAlB4
1.0
-1.503 -3.026 1.037
-2.634 -0.506 -5.292
9.074 -5.862 -3.954
Er Al B
4 4 16
Direct
0.500 0.373 0.150
0.500 0.627 0.850
0.500 0.127 0.650
0.500 0.873 0.350
0.500 0.363 0.410
0.500 0.637 0.590
0.500 0.137 0.910
0.500 0.863 0.090
0.000 0.115 0.047
0.000 0.885 0.953
0.000 0.385 0.547
0.000 0.615 0.453
0.000 0.134 0.469
0.000 0.866 0.531
0.000 0.366 0.969
0.000 0.634 0.031
0.000 0.028 0.193
0.000 0.972 0.807
0.000 0.472 0.693
0.000 0.528 0.307
0.000 0.212 0.312
0.000 0.788 0.688
0.000 0.288 0.812
0.000 0.712 0.188
```

* formation enthalpy at 0 K: -0.50 eV per atom

=====

(5)
Here is crystalline Sr2YMgCu3O7 at its relaxed geometry from the Materials Project. Energies are from PBE.

```
Sr2YMgCu3O7
1.0
-0.268 3.240 2.173
1.421 -1.816 2.884
13.175 3.823 -4.089
Sr Y Mg Cu O
2 1 1 3 7
Direct
0.500 0.500 0.771
0.500 0.500 0.079
0.500 0.500 0.522
0.000 0.500 0.268
0.000 0.000 0.937
0.000 0.000 0.643
0.000 0.000 0.416
0.500 0.000 0.638
0.500 0.000 0.430
0.000 0.000 0.800
0.000 0.000 0.200
0.000 0.500 0.986
0.000 0.500 0.607
0.000 0.500 0.403
```

* spin magnetization: 0.000 μB per cell
* formation enthalpy at 0 K: -2.09 eV per atom
* distance to the lowest polymorph of the same formula: 126 meV/atom

=====

(6)
Here is crystalline KDyTi4O12 at its relaxed geometry from the Materials Project. Energies are from PBE.

```
KDyTi4O12
1.0
4.144 3.418 1.095
-2.119 0.971 4.962
4.104 -5.909 2.909
K Dy Ti O
1 1 4 12
Direct
0.013 0.987 0.500
0.477 0.523 0.000
0.505 0.011 0.257
0.505 0.011 0.743
0.989 0.495 0.743
0.989 0.495 0.257
0.244 0.242 0.231
0.758 0.756 0.231
0.758 0.756 0.769
0.244 0.242 0.769
0.274 0.726 0.249
0.722 0.278 0.203
0.722 0.278 0.797
0.274 0.726 0.751
0.479 0.948 0.000
0.518 0.015 0.500
0.052 0.521 0.000
0.985 0.482 0.500
```

* spin magnetization: 4.000 μB per cell
* formation enthalpy at 0 K: -2.90 eV per atom

=====

(7)
Here is crystalline Sr2GdTaO6 at its relaxed geometry from the Materials Project. Energies are from PBE.

```
Sr2GdTaO6
1.0
4.789 0.000 -3.372
0.000 6.009 0.000
4.803 0.000 6.852
Sr Gd Ta O
4 2 2 12
Direct
0.011 0.456 0.253
0.989 0.544 0.747
0.489 0.956 0.247
0.511 0.044 0.753
0.000 0.000 0.500
0.500 0.500 0.000
0.000 0.000 0.000
0.500 0.500 0.500
0.914 0.031 0.232
0.086 0.969 0.768
0.586 0.531 0.268
0.414 0.469 0.732
0.190 0.727 0.050
0.810 0.273 0.950
0.310 0.227 0.450
0.690 0.773 0.550
0.275 0.192 0.041
0.725 0.808 0.959
0.225 0.692 0.459
0.775 0.308 0.541
```

* spin magnetization: 14.000 μB per cell
* formation enthalpy at 0 K: -3.56 eV per atom

=====

(8)
Here is crystalline ZrNbSi2Ru2 at its relaxed geometry from the Materials Project. Energies are from PBE.

```
ZrNbSi2Ru2
1.0
3.755 0.000 0.000
0.000 6.614 0.000
0.000 0.075 11.301
Zr Nb Si Ru
3 3 6 6
Direct
0.500 0.290 0.291
0.500 0.291 0.709
0.500 0.790 0.209
0.500 0.421 0.999
0.500 0.917 0.501
0.500 0.791 0.792
0.000 0.993 0.666
0.000 0.498 0.163
0.000 0.503 0.836
0.000 0.998 0.337
0.500 0.004 0.997
0.500 0.507 0.500
0.000 0.754 0.998
0.000 0.254 0.501
0.000 0.623 0.623
0.000 0.123 0.122
0.000 0.122 0.877
0.000 0.622 0.379
```

* spin magnetization: 0.218 μB per cell
* formation enthalpy at 0 K: -0.79 eV per atom